[1]
The following is a r²SCAN calculation of a relaxed structure of Cs2SbF5, from the Materials Project.

space group	No. 63

abc: 7.8369 7.8369 7.1601
angles: 90.00 90.00 129.91
Sites, in units of the cell vectors:
Cs1 0.0584 0.9416 0.7500
Cs2 0.2605 0.7395 0.2500
Cs3 0.7395 0.2605 0.7500
Cs4 0.9416 0.0584 0.2500
Sb1 0.4119 0.5881 0.7500
Sb2 0.5881 0.4119 0.2500
F1 0.1623 0.3924 0.5515
F2 0.1623 0.3924 0.9485
F3 0.2733 0.7267 0.7500
F4 0.3924 0.1623 0.0515
F5 0.3924 0.1623 0.4485
F6 0.6076 0.8377 0.5515
F7 0.6076 0.8377 0.9485
F8 0.7267 0.2733 0.2500
F9 0.8377 0.6076 0.0515
F10 0.8377 0.6076 0.4485

[2]
The following is a r²SCAN calculation of a relaxed structure of LuS, from the Materials Project.

space group	No. 225

abc: 3.7847 3.7847 3.7847
angles: 60.00 60.00 60.00
Sites, in units of the cell vectors:
Lu1 0.0000 0.0000 0.0000
S1 0.5000 0.5000 0.5000

[3]
The following is a r²SCAN calculation of a relaxed structure of Rb2In3, from the Materials Project.

space group	No. 139

abc: 9.3481 9.3481 9.3481
angles: 136.58 136.58 63.08
Sites, in units of the cell vectors:
Rb1 0.1098 0.1098 0.0000
Rb2 0.2500 0.7500 0.5000
Rb3 0.7500 0.2500 0.5000
Rb4 0.8902 0.8902 0.0000
In1 0.2046 0.5000 0.7046
In2 0.3530 0.3530 0.0000
In3 0.5000 0.2046 0.7046
In4 0.5000 0.7954 0.2954
In5 0.6470 0.6470 0.0000
In6 0.7954 0.5000 0.2954

[4]
The following is a r²SCAN calculation of a relaxed structure of Tm4Ni2C5, from the Materials Project.

space group	No. 25

abc: 3.5493 11.4080 3.6421
angles: 90.00 90.00 90.00
Sites, in units of the cell vectors:
Tm1 0.0000 0.0000 0.0000
Tm2 0.0000 0.2966 0.7095
Tm3 0.0000 0.7034 0.7095
Tm4 0.5000 0.5000 0.2123
Ni1 0.5000 0.1155 0.5109
Ni2 0.5000 0.8845 0.5109
C1 0.0000 0.5000 0.7189
C2 0.5000 0.1670 0.0118
C3 0.5000 0.2713 0.2120
C4 0.5000 0.7287 0.2120
C5 0.5000 0.8330 0.0118

[5]
The following is a r²SCAN calculation of a relaxed structure of DyCo3, from the Materials Project.

space group	No. 166

abc: 8.5109 8.5109 8.5109
angles: 34.24 34.24 34.24
Sites, in units of the cell vectors:
Dy1 0.0000 0.0000 0.0000
Dy2 0.1420 0.1420 0.1420
Dy3 0.8580 0.8580 0.8580
Co1 0.0930 0.5741 0.5741
Co2 0.3281 0.3281 0.3281
Co3 0.4259 0.4259 0.9070
Co4 0.4259 0.9070 0.4259
Co5 0.5000 0.5000 0.5000
Co6 0.5741 0.0930 0.5741
Co7 0.5741 0.5741 0.0930
Co8 0.6719 0.6719 0.6719
Co9 0.9070 0.4259 0.4259

[6]
The following is a r²SCAN calculation of a relaxed structure of Ba2CdSe3, from the Materials Project.

space group	No. 62

abc: 9.3585 4.5387 18.1263
angles: 90.00 90.00 90.00
Sites, in units of the cell vectors:
Ba1 0.0781 0.2500 0.2151
Ba2 0.2396 0.2500 0.9598
Ba3 0.2604 0.7500 0.4598
Ba4 0.4219 0.7500 0.7151
Ba5 0.5781 0.2500 0.2849
Ba6 0.7396 0.2500 0.5402
Ba7 0.7604 0.7500 0.0402
Ba8 0.9219 0.7500 0.7849
Cd1 0.1243 0.2500 0.6331
Cd2 0.3757 0.7500 0.1331
Cd3 0.6243 0.2500 0.8669
Cd4 0.8757 0.7500 0.3669
Se1 0.0136 0.2500 0.4038
Se2 0.1186 0.7500 0.0724
Se3 0.1856 0.2500 0.7764
Se4 0.3144 0.7500 0.2764
Se5 0.3814 0.2500 0.5724
Se6 0.4864 0.7500 0.9038
Se7 0.5136 0.2500 0.0962
Se8 0.6186 0.7500 0.4276
Se9 0.6856 0.2500 0.7236
Se10 0.8144 0.7500 0.2236
Se11 0.8814 0.2500 0.9276
Se12 0.9864 0.7500 0.5962

[7]
The following is a r²SCAN calculation of a relaxed structure of BaCdPb, from the Materials Project.

space group	No. 12

abc: 6.7142 6.7142 8.6303
angles: 129.63 129.63 46.54
Sites, in units of the cell vectors:
Ba1 0.0425 0.0425 0.2934
Ba2 0.9575 0.9575 0.7066
Cd1 0.3443 0.3443 0.9030
Cd2 0.6557 0.6557 0.0970
Pb1 0.3351 0.3351 0.2704
Pb2 0.6649 0.6649 0.7296

[8]
The following is a r²SCAN calculation of a relaxed structure of CeAl2Zn2, from the Materials Project.

space group	No. 139

abc: 6.2077 6.2077 6.2077
angles: 140.44 140.44 57.18
Sites, in units of the cell vectors:
Ce1 0.0000 0.0000 0.0000
Al1 0.2500 0.7500 0.5000
Al2 0.7500 0.2500 0.5000
Zn1 0.3877 0.3877 0.0000
Zn2 0.6123 0.6123 0.0000

[9]
The following is a r²SCAN calculation of a relaxed structure of Cs2YbH4, from the Materials Project.

space group	No. 139

abc: 8.6356 8.6356 8.6356
angles: 150.79 150.79 41.78
Sites, in units of the cell vectors:
Cs1 0.1561 0.1561 0.0000
Cs2 0.8439 0.8439 0.0000
Yb1 0.5000 0.5000 0.0000
H1 0.0000 0.5000 0.5000
H2 0.3672 0.3672 0.0000
H3 0.5000 0.0000 0.5000
H4 0.6328 0.6328 0.0000

[10]
The following is a r²SCAN calculation of a relaxed structure of BeRu2W, from the Materials Project.

space group	No. 225

abc: 4.2105 4.2105 4.2105
angles: 60.00 60.00 60.00
Sites, in units of the cell vectors:
Be1 0.0000 0.0000 0.0000
Ru1 0.2500 0.2500 0.2500
Ru2 0.7500 0.7500 0.7500
W1 0.5000 0.5000 0.5000

[11]
The following is a r²SCAN calculation of a relaxed structure of MoPO5, from the Materials Project.

ΔE to the lowest computed polymorph	0	meV per atom
space group	No. 85

abc: 6.2061 6.2061 4.2142
angles: 90.00 90.00 90.00
Sites, in units of the cell vectors:
Mo1 0.2500 0.2500 0.1946
Mo2 0.7500 0.7500 0.8054
P1 0.2500 0.7500 0.5000
P2 0.7500 0.2500 0.5000
O1 0.0571 0.6941 0.7094
O2 0.1941 0.9429 0.2906
O3 0.2500 0.2500 0.7969
O4 0.3059 0.5571 0.2906
O5 0.4429 0.8059 0.7094
O6 0.5571 0.1941 0.2906
O7 0.6941 0.4429 0.7094
O8 0.7500 0.7500 0.2031
O9 0.8059 0.0571 0.7094
O10 0.9429 0.3059 0.2906

[12]
The following is a r²SCAN calculation of a relaxed structure of BaSn3Au, from the Materials Project.

space group	No. 107

abc: 6.6539 6.6539 6.6539
angles: 135.21 135.21 65.21
Sites, in units of the cell vectors:
Ba1 0.0000 0.0000 0.0000
Sn1 0.2493 0.7493 0.5000
Sn2 0.6010 0.6010 0.0000
Sn3 0.7493 0.2493 0.5000
Au1 0.3569 0.3569 0.0000

[13]
The following is a r²SCAN calculation of a relaxed structure of BPd5, from the Materials Project.

space group	No. 14

abc: 6.3545 8.1740 9.0111
angles: 90.00 134.53 90.00
Sites, in units of the cell vectors:
B1 0.2148 0.1333 0.1593
B2 0.2148 0.3667 0.6593
B3 0.7852 0.6333 0.3407
B4 0.7852 0.8667 0.8407
Pd1 0.0015 0.6259 0.2460
Pd2 0.0015 0.8741 0.7460
Pd3 0.2011 0.1167 0.6508
Pd4 0.2011 0.3833 0.1508
Pd5 0.2030 0.6265 0.6514
Pd6 0.2030 0.8735 0.1514
Pd7 0.3867 0.6249 0.0400
Pd8 0.3867 0.8751 0.5400
Pd9 0.4077 0.1262 0.0484
Pd10 0.4077 0.3738 0.5484
Pd11 0.5923 0.6262 0.4516
Pd12 0.5923 0.8738 0.9516
Pd13 0.6133 0.1249 0.4600
Pd14 0.6133 0.3751 0.9600
Pd15 0.7970 0.1265 0.8486
Pd16 0.7970 0.3735 0.3486
Pd17 0.7989 0.6167 0.8492
Pd18 0.7989 0.8833 0.3492
Pd19 0.9985 0.1259 0.2540
Pd20 0.9985 0.3741 0.7540

[14]
The following is a r²SCAN calculation of a relaxed structure of YGa2Ni3, from the Materials Project.

space group	No. 191

abc: 8.8553 8.8553 3.8827
angles: 90.00 90.00 120.00
Sites, in units of the cell vectors:
Y1 0.0000 0.0000 0.0000
Y2 0.3333 0.6667 0.5000
Y3 0.6667 0.3333 0.5000
Ga1 0.0000 0.3162 0.5000
Ga2 0.0000 0.6838 0.5000
Ga3 0.3162 0.0000 0.5000
Ga4 0.3162 0.3162 0.5000
Ga5 0.6838 0.0000 0.5000
Ga6 0.6838 0.6838 0.5000
Ni1 0.0000 0.5000 0.0000
Ni2 0.1798 0.3596 0.0000
Ni3 0.1798 0.8202 0.0000
Ni4 0.3596 0.1798 0.0000
Ni5 0.5000 0.0000 0.0000
Ni6 0.5000 0.5000 0.0000
Ni7 0.6404 0.8202 0.0000
Ni8 0.8202 0.1798 0.0000
Ni9 0.8202 0.6404 0.0000

[15]
The following is a r²SCAN calculation of a relaxed structure of Ho2Si3Rh, from the Materials Project.

space group	No. 194

abc: 8.1140 8.1140 7.8603
angles: 90.00 90.00 120.00
Sites, in units of the cell vectors:
Ho1 0.0000 0.0000 0.2500
Ho2 0.0000 0.0000 0.7500
Ho3 0.0163 0.5081 0.2500
Ho4 0.4919 0.5081 0.2500
Ho5 0.4919 0.9837 0.2500
Ho6 0.5081 0.0163 0.7500
Ho7 0.5081 0.4919 0.7500
Ho8 0.9837 0.4919 0.7500
Si1 0.1670 0.3339 0.9998
Si2 0.1670 0.3339 0.5002
Si3 0.1670 0.8330 0.9998
Si4 0.1670 0.8330 0.5002
Si5 0.3339 0.1670 0.0002
Si6 0.3339 0.1670 0.4998
Si7 0.6661 0.8330 0.9998
Si8 0.6661 0.8330 0.5002
Si9 0.8330 0.1670 0.0002
Si10 0.8330 0.1670 0.4998
Si11 0.8330 0.6661 0.0002
Si12 0.8330 0.6661 0.4998
Rh1 0.3333 0.6667 0.5309
Rh2 0.3333 0.6667 0.9691
Rh3 0.6667 0.3333 0.0309
Rh4 0.6667 0.3333 0.4691

[16]
The following is a r²SCAN calculation of a relaxed structure of Li2GeAu, from the Materials Project.

space group	No. 216

abc: 4.3616 4.3616 4.3616
angles: 60.00 60.00 60.00
Sites, in units of the cell vectors:
Li1 0.0000 0.0000 0.0000
Li2 0.2500 0.2500 0.2500
Ge1 0.5000 0.5000 0.5000
Au1 0.7500 0.7500 0.7500

[17]
The following is a r²SCAN calculation of a relaxed structure of Rb3TiF7, from the Materials Project.

space group	No. 127

abc: 8.0600 8.0600 5.9362
angles: 90.00 90.00 90.00
Sites, in units of the cell vectors:
Rb1 0.0000 0.0000 0.0000
Rb2 0.1892 0.3108 0.5000
Rb3 0.3108 0.8108 0.5000
Rb4 0.5000 0.5000 0.0000
Rb5 0.6892 0.1892 0.5000
Rb6 0.8108 0.6892 0.5000
Ti1 0.0000 0.5000 0.0000
Ti2 0.5000 0.0000 0.0000
F1 0.0000 0.0000 0.5000
F2 0.1140 0.6140 0.2277
F3 0.1140 0.6140 0.7723
F4 0.1645 0.3355 0.0000
F5 0.3355 0.8355 0.0000
F6 0.3860 0.1140 0.2277
F7 0.3860 0.1140 0.7723
F8 0.5000 0.5000 0.5000
F9 0.6140 0.8860 0.2277
F10 0.6140 0.8860 0.7723
F11 0.6645 0.1645 0.0000
F12 0.8355 0.6645 0.0000
F13 0.8860 0.3860 0.2277
F14 0.8860 0.3860 0.7723

[18]
The following is a r²SCAN calculation of a relaxed structure of ErMgGa, from the Materials Project.

space group	No. 189

abc: 7.1789 7.1789 4.3875
angles: 90.00 90.00 120.00
Sites, in units of the cell vectors:
Er1 0.0000 0.4262 0.0000
Er2 0.4262 0.0000 0.0000
Er3 0.5738 0.5738 0.0000
Mg1 0.0000 0.7554 0.5000
Mg2 0.2446 0.2446 0.5000
Mg3 0.7554 0.0000 0.5000
Ga1 0.0000 0.0000 0.0000
Ga2 0.3333 0.6667 0.5000
Ga3 0.6667 0.3333 0.5000

[19]
The following is a r²SCAN calculation of a relaxed structure of CuAuF5, from the Materials Project.

space group	No. 2

abc: 3.7417 4.9570 5.4982
angles: 89.53 81.80 70.68
Sites, in units of the cell vectors:
Cu1 0.0000 0.0000 0.0000
Au1 0.0000 0.5000 0.5000
F1 0.1392 0.6352 0.1779
F2 0.1877 0.7693 0.6553
F3 0.5000 0.0000 0.0000
F4 0.8123 0.2307 0.3447
F5 0.8608 0.3648 0.8221

[20]
The following is a r²SCAN calculation of a relaxed structure of ThNi2Ge2, from the Materials Project.

space group	No. 139

abc: 5.6562 5.6562 5.6562
angles: 136.82 136.82 62.71
Sites, in units of the cell vectors:
Th1 0.0000 0.0000 0.0000
Ni1 0.2500 0.7500 0.5000
Ni2 0.7500 0.2500 0.5000
Ge1 0.3670 0.3670 0.0000
Ge2 0.6330 0.6330 0.0000

Total magnetization (computed, Bohr magnetons per cell): 0.000; 0.000; 0.000; 0.000; 11.803; 0.000; 0.000; 1.008; 0.000; 0.000; 2.000; 0.000; 0.000; 0.000; 0.000; 0.000; 0.000; 0.000; 1.000; 0.000
DFT formation energy (computed, eV/atom): -2.831; -2.109; -0.267; -0.539; -0.121; -1.808; -0.546; -0.471; -0.309; -0.239; -2.262; -0.536; -0.221; -0.554; -1.000; -0.521; -3.374; -0.549; -1.427; -0.720